Record 1
## Tm (PBE)

Data for Tm after structural relaxation.

Properties
Space-group type = Im-3m
Calculated volume = 30.604 A^3/atom
Formation enthalpy at 0 K = 141 meV/atom
Raw total energy = -4.335 eV/atom
Polymorph energy (0 for the lowest one) = 13.6 kJ per mole of atoms
Mass density = 9.2 g/cm³

Cell and atoms, written as CIF:
```
data_Tm
_chemical_formula_sum 'Tm1'
_space_group_name_H-M_alt 'P 1'
_space_group_IT_number 1
_cell_length_a 3.413
_cell_length_b 3.413
_cell_length_c 3.413
_cell_angle_alpha 109.47
_cell_angle_beta 109.47
_cell_angle_gamma 109.47
loop_
_space_group_symop_operation_xyz
'x,y,z'
loop_
_atom_site_label
_atom_site_type_symbol
_atom_site_fract_x
_atom_site_fract_y
_atom_site_fract_z
Tm1 Tm 0.000 0.000 0.000
```

***

Record 2
## Tm (PBE)

Data for Tm after structural relaxation.

Properties
Space-group type = P6_3/mmc
Calculated volume = 30.300 A^3/atom
Formation enthalpy at 0 K = 4 meV/atom
Raw total energy = -4.472 eV/atom
Polymorph energy (0 for the lowest one) = 0.3 kJ per mole of atoms
Mass density = 9.3 g/cm³

Cell and atoms, written as CIF:
```
data_Tm
_chemical_formula_sum 'Tm2'
_space_group_name_H-M_alt 'P 1'
_space_group_IT_number 1
_cell_length_a 3.563
_cell_length_b 3.563
_cell_length_c 5.513
_cell_angle_alpha 90.00
_cell_angle_beta 90.00
_cell_angle_gamma 120.00
loop_
_space_group_symop_operation_xyz
'x,y,z'
loop_
_atom_site_label
_atom_site_type_symbol
_atom_site_fract_x
_atom_site_fract_y
_atom_site_fract_z
Tm1 Tm 0.667 0.333 0.250
Tm2 Tm 0.333 0.667 0.750
```

***

Record 3
## Tm (PBE)

Data for Tm after structural relaxation.

Properties
Space-group type = P6_3/mmc
Calculated volume = 30.055 A^3/atom
Formation enthalpy at 0 K = 11 meV/atom
Raw total energy = -4.465 eV/atom
Polymorph energy (0 for the lowest one) = 1.0 kJ per mole of atoms
Mass density = 9.3 g/cm³

Cell and atoms, written as CIF:
```
data_Tm
_chemical_formula_sum 'Tm4'
_space_group_name_H-M_alt 'P 1'
_space_group_IT_number 1
_cell_length_a 3.505
_cell_length_b 3.505
_cell_length_c 11.301
_cell_angle_alpha 90.00
_cell_angle_beta 90.00
_cell_angle_gamma 120.00
loop_
_space_group_symop_operation_xyz
'x,y,z'
loop_
_atom_site_label
_atom_site_type_symbol
_atom_site_fract_x
_atom_site_fract_y
_atom_site_fract_z
Tm1 Tm 0.667 0.333 0.750
Tm2 Tm 0.000 0.000 0.500
Tm3 Tm 0.000 0.000 0.000
Tm4 Tm 0.333 0.667 0.250
```

***

Record 4
## Tm (PBE)

Data for Tm after structural relaxation.

Properties
Space-group type = Fm-3m
Calculated volume = 30.010 A^3/atom
Formation enthalpy at 0 K = 31 meV/atom
Raw total energy = -4.444 eV/atom
Polymorph energy (0 for the lowest one) = 3.0 kJ per mole of atoms
Mass density = 9.3 g/cm³

Cell and atoms, written as CIF:
```
data_Tm
_chemical_formula_sum 'Tm1'
_space_group_name_H-M_alt 'P 1'
_space_group_IT_number 1
_cell_length_a 3.488
_cell_length_b 3.488
_cell_length_c 3.488
_cell_angle_alpha 60.00
_cell_angle_beta 60.00
_cell_angle_gamma 60.00
loop_
_space_group_symop_operation_xyz
'x,y,z'
loop_
_atom_site_label
_atom_site_type_symbol
_atom_site_fract_x
_atom_site_fract_y
_atom_site_fract_z
Tm1 Tm 0.000 0.000 0.000
```

***

Record 5
## TmU3 (PBE)

Data for TmU3 after structural relaxation.

Properties
Space-group type = P6_3/mmc
Total moment = 5.770 μB/cell
Calculated volume = 23.476 A^3/atom
Formation enthalpy at 0 K = 513 meV/atom
Raw total energy = -9.074 eV/atom
Mass density = 15.6 g/cm³

Cell and atoms, written as CIF:
```
data_TmU3
_chemical_formula_sum 'Tm2 U6'
_space_group_name_H-M_alt 'P 1'
_space_group_IT_number 1
_cell_length_a 6.369
_cell_length_b 6.369
_cell_length_c 5.346
_cell_angle_alpha 90.00
_cell_angle_beta 90.00
_cell_angle_gamma 120.00
loop_
_space_group_symop_operation_xyz
'x,y,z'
loop_
_atom_site_label
_atom_site_type_symbol
_atom_site_fract_x
_atom_site_fract_y
_atom_site_fract_z
U1 U 0.853 0.147 0.750
U2 U 0.295 0.147 0.750
U3 U 0.147 0.295 0.250
U4 U 0.853 0.705 0.750
U5 U 0.147 0.853 0.250
U6 U 0.705 0.853 0.250
Tm1 Tm 0.667 0.333 0.250
Tm2 Tm 0.333 0.667 0.750
```

***

Record 6
## Tm3V (PBE)

Data for Tm3V after structural relaxation.

Properties
Space-group type = I4/mmm
Total moment = 3.685 μB/cell
Calculated volume = 26.063 A^3/atom
Formation enthalpy at 0 K = 287 meV/atom
Raw total energy = -5.341 eV/atom
Polymorph energy (0 for the lowest one) = 0.0 kJ per mole of atoms
Mass density = 8.9 g/cm³

Cell and atoms, written as CIF:
```
data_Tm3V
_chemical_formula_sum 'Tm3 V1'
_space_group_name_H-M_alt 'P 1'
_space_group_IT_number 1
_cell_length_a 5.282
_cell_length_b 5.282
_cell_length_c 5.282
_cell_angle_alpha 119.97
_cell_angle_beta 119.97
_cell_angle_gamma 90.05
loop_
_space_group_symop_operation_xyz
'x,y,z'
loop_
_atom_site_label
_atom_site_type_symbol
_atom_site_fract_x
_atom_site_fract_y
_atom_site_fract_z
Tm1 Tm 0.250 0.750 0.500
Tm2 Tm 0.500 0.500 0.000
Tm3 Tm 0.750 0.250 0.500
V1 V 0.000 0.000 0.000
```

***

Record 7
## Tm3V (PBE)

Data for Tm3V after structural relaxation.

Properties
Space-group type = I4/mmm
Total moment = 3.569 μB/cell
Calculated volume = 26.180 A^3/atom
Formation enthalpy at 0 K = 298 meV/atom
Raw total energy = -5.330 eV/atom
Polymorph energy (0 for the lowest one) = 1.1 kJ per mole of atoms
Mass density = 8.8 g/cm³

Cell and atoms, written as CIF:
```
data_Tm3V
_chemical_formula_sum 'Tm3 V1'
_space_group_name_H-M_alt 'P 1'
_space_group_IT_number 1
_cell_length_a 5.441
_cell_length_b 5.441
_cell_length_c 5.441
_cell_angle_alpha 124.70
_cell_angle_beta 124.70
_cell_angle_gamma 82.04
loop_
_space_group_symop_operation_xyz
'x,y,z'
loop_
_atom_site_label
_atom_site_type_symbol
_atom_site_fract_x
_atom_site_fract_y
_atom_site_fract_z
Tm1 Tm 0.750 0.250 0.500
Tm2 Tm 0.500 0.500 0.000
Tm3 Tm 0.250 0.750 0.500
V1 V 0.000 0.000 0.000
```

***

Record 8
## YTm3 (PBE)

Data for YTm3 after structural relaxation.

Properties
Space-group type = P6_3/mmc
Calculated volume = 31.081 A^3/atom
Formation enthalpy at 0 K = 8 meV/atom
Raw total energy = -4.965 eV/atom
Mass density = 8.0 g/cm³

Cell and atoms, written as CIF:
```
data_YTm3
_chemical_formula_sum 'Y2 Tm6'
_space_group_name_H-M_alt 'P 1'
_space_group_IT_number 1
_cell_length_a 7.169
_cell_length_b 7.169
_cell_length_c 5.586
_cell_angle_alpha 90.00
_cell_angle_beta 90.00
_cell_angle_gamma 120.00
loop_
_space_group_symop_operation_xyz
'x,y,z'
loop_
_atom_site_label
_atom_site_type_symbol
_atom_site_fract_x
_atom_site_fract_y
_atom_site_fract_z
Tm1 Tm 0.166 0.834 0.250
Tm2 Tm 0.331 0.166 0.750
Tm3 Tm 0.166 0.331 0.250
Tm4 Tm 0.834 0.669 0.750
Tm5 Tm 0.834 0.166 0.750
Tm6 Tm 0.669 0.834 0.250
Y1 Y 0.333 0.667 0.750
Y2 Y 0.667 0.333 0.250
```

***

Record 9
## TmZn2 (PBE)

Data for TmZn2 after structural relaxation.

Properties
Space-group type = Imma
Calculated volume = 19.624 A^3/atom
Formation enthalpy at 0 K = -390 meV/atom
Raw total energy = -2.722 eV/atom
Mass density = 8.5 g/cm³

Cell and atoms, written as CIF:
```
data_TmZn2
_chemical_formula_sum 'Tm2 Zn4'
_space_group_name_H-M_alt 'P 1'
_space_group_IT_number 1
_cell_length_a 4.479
_cell_length_b 5.601
_cell_length_c 5.601
_cell_angle_alpha 77.39
_cell_angle_beta 66.43
_cell_angle_gamma 66.43
loop_
_space_group_symop_operation_xyz
'x,y,z'
loop_
_atom_site_label
_atom_site_type_symbol
_atom_site_fract_x
_atom_site_fract_y
_atom_site_fract_z
Tm1 Tm 0.531 0.219 0.719
Tm2 Tm 0.469 0.781 0.281
Zn1 Zn 0.833 0.624 0.710
Zn2 Zn 0.833 0.210 0.124
Zn3 Zn 0.167 0.376 0.290
Zn4 Zn 0.167 0.790 0.876
```

***

Record 10
## TmZn5 (PBE)

Data for TmZn5 after structural relaxation.

Properties
Space-group type = P6_3/mmc
Calculated volume = 17.097 A^3/atom
Formation enthalpy at 0 K = -260 meV/atom
Raw total energy = -2.056 eV/atom
Mass density = 8.0 g/cm³

Cell and atoms, written as CIF:
```
data_TmZn5
_chemical_formula_sum 'Tm6 Zn30'
_space_group_name_H-M_alt 'P 1'
_space_group_IT_number 1
_cell_length_a 8.894
_cell_length_b 8.894
_cell_length_c 8.984
_cell_angle_alpha 90.00
_cell_angle_beta 90.00
_cell_angle_gamma 120.00
loop_
_space_group_symop_operation_xyz
'x,y,z'
loop_
_atom_site_label
_atom_site_type_symbol
_atom_site_fract_x
_atom_site_fract_y
_atom_site_fract_z
Tm1 Tm 0.613 0.807 0.250
Tm2 Tm 0.807 0.193 0.750
Tm3 Tm 0.387 0.193 0.750
Tm4 Tm 0.193 0.807 0.250
Tm5 Tm 0.193 0.387 0.250
Tm6 Tm 0.807 0.613 0.750
Zn1 Zn 0.159 0.318 0.909
Zn2 Zn 0.841 0.159 0.409
Zn3 Zn 0.432 0.865 0.750
Zn4 Zn 0.841 0.682 0.409
Zn5 Zn 0.500 0.500 0.000
Zn6 Zn 0.500 0.000 0.000
Zn7 Zn 0.159 0.318 0.591
Zn8 Zn 0.500 0.500 0.500
Zn9 Zn 0.333 0.667 0.016
Zn10 Zn 0.000 0.500 0.000
Zn11 Zn 0.568 0.135 0.250
Zn12 Zn 0.667 0.333 0.984
Zn13 Zn 0.333 0.667 0.484
Zn14 Zn 0.000 0.500 0.500
Zn15 Zn 0.865 0.432 0.250
Zn16 Zn 0.432 0.568 0.750
Zn17 Zn 0.682 0.841 0.591
Zn18 Zn 0.318 0.159 0.091
Zn19 Zn 0.000 0.000 0.500
Zn20 Zn 0.135 0.568 0.750
Zn21 Zn 0.159 0.841 0.909
Zn22 Zn 0.841 0.682 0.091
Zn23 Zn 0.159 0.841 0.591
Zn24 Zn 0.000 0.000 0.000
Zn25 Zn 0.500 0.000 0.500
Zn26 Zn 0.318 0.159 0.409
Zn27 Zn 0.568 0.432 0.250
Zn28 Zn 0.667 0.333 0.516
Zn29 Zn 0.682 0.841 0.909
Zn30 Zn 0.841 0.159 0.091
```

***

Record 11
## U2Zn17 (PBE)

Data for U2Zn17 after structural relaxation.

Properties
Space-group type = P6_3/mmc
Total moment = 34.328 μB/cell
Calculated volume = 16.183 A^3/atom
Formation enthalpy at 0 K = -65 meV/atom
Raw total energy = -2.381 eV/atom
Polymorph energy (0 for the lowest one) = 0.0 kJ per mole of atoms
Mass density = 8.6 g/cm³

Cell and atoms, written as CIF:
```
data_U2Zn17
_chemical_formula_sum 'U12 Zn102'
_space_group_name_H-M_alt 'P 1'
_space_group_IT_number 1
_cell_length_a 8.992
_cell_length_b 8.992
_cell_length_c 26.346
_cell_angle_alpha 90.00
_cell_angle_beta 90.00
_cell_angle_gamma 120.00
loop_
_space_group_symop_operation_xyz
'x,y,z'
loop_
_atom_site_label
_atom_site_type_symbol
_atom_site_fract_x
_atom_site_fract_y
_atom_site_fract_z
Zn1 Zn 0.500 0.500 0.000
Zn2 Zn 0.667 0.333 0.133
Zn3 Zn 0.342 0.171 0.659
Zn4 Zn 0.009 0.505 0.326
Zn5 Zn 0.333 0.167 0.333
Zn6 Zn 0.333 0.965 0.583
Zn7 Zn 0.369 0.035 0.083
Zn8 Zn 0.838 0.675 0.507
Zn9 Zn 0.495 0.505 0.174
Zn10 Zn 0.342 0.171 0.841
Zn11 Zn 0.829 0.658 0.841
Zn12 Zn 0.000 0.000 0.801
Zn13 Zn 0.505 0.009 0.674
Zn14 Zn 0.667 0.333 0.032
Zn15 Zn 0.000 0.000 0.199
Zn16 Zn 0.658 0.829 0.341
Zn17 Zn 0.167 0.833 0.667
Zn18 Zn 0.000 0.000 0.699
Zn19 Zn 0.171 0.829 0.159
Zn20 Zn 0.035 0.369 0.917
Zn21 Zn 0.495 0.991 0.326
Zn22 Zn 0.369 0.035 0.417
Zn23 Zn 0.035 0.667 0.583
Zn24 Zn 0.296 0.996 0.250
Zn25 Zn 0.991 0.495 0.826
Zn26 Zn 0.675 0.838 0.007
Zn27 Zn 0.300 0.004 0.750
Zn28 Zn 0.505 0.495 0.826
Zn29 Zn 0.631 0.965 0.917
Zn30 Zn 0.631 0.667 0.917
Zn31 Zn 0.333 0.667 0.633
Zn32 Zn 0.631 0.667 0.583
Zn33 Zn 0.009 0.505 0.174
Zn34 Zn 0.325 0.162 0.993
Zn35 Zn 0.965 0.631 0.083
Zn36 Zn 0.658 0.829 0.159
Zn37 Zn 0.162 0.838 0.007
Zn38 Zn 0.162 0.325 0.007
Zn39 Zn 0.004 0.704 0.250
Zn40 Zn 0.500 0.000 0.500
Zn41 Zn 0.369 0.333 0.417
Zn42 Zn 0.505 0.009 0.826
Zn43 Zn 0.631 0.965 0.583
Zn44 Zn 0.369 0.333 0.083
Zn45 Zn 0.833 0.167 0.333
Zn46 Zn 0.500 0.500 0.500
Zn47 Zn 0.162 0.838 0.493
Zn48 Zn 0.829 0.171 0.841
Zn49 Zn 0.829 0.171 0.659
Zn50 Zn 0.667 0.833 0.667
Zn51 Zn 0.833 0.167 0.167
Zn52 Zn 0.965 0.333 0.417
Zn53 Zn 0.965 0.333 0.083
Zn54 Zn 0.700 0.704 0.250
Zn55 Zn 0.300 0.296 0.750
Zn56 Zn 0.171 0.829 0.341
Zn57 Zn 0.167 0.833 0.833
Zn58 Zn 0.333 0.369 0.583
Zn59 Zn 0.667 0.035 0.417
Zn60 Zn 0.829 0.658 0.659
Zn61 Zn 0.500 0.000 0.000
Zn62 Zn 0.171 0.342 0.159
Zn63 Zn 0.333 0.667 0.867
Zn64 Zn 0.700 0.996 0.250
Zn65 Zn 0.000 0.500 0.000
Zn66 Zn 0.667 0.333 0.468
Zn67 Zn 0.333 0.369 0.917
Zn68 Zn 0.167 0.333 0.667
Zn69 Zn 0.996 0.296 0.750
Zn70 Zn 0.991 0.495 0.674
Zn71 Zn 0.675 0.838 0.493
Zn72 Zn 0.325 0.162 0.507
Zn73 Zn 0.667 0.631 0.417
Zn74 Zn 0.667 0.631 0.083
Zn75 Zn 0.333 0.667 0.968
Zn76 Zn 0.833 0.667 0.333
Zn77 Zn 0.035 0.667 0.917
Zn78 Zn 0.000 0.500 0.500
Zn79 Zn 0.333 0.965 0.917
Zn80 Zn 0.495 0.505 0.326
Zn81 Zn 0.667 0.833 0.833
Zn82 Zn 0.000 0.000 0.301
Zn83 Zn 0.667 0.035 0.083
Zn84 Zn 0.838 0.162 0.993
Zn85 Zn 0.833 0.667 0.167
Zn86 Zn 0.838 0.162 0.507
Zn87 Zn 0.704 0.004 0.750
Zn88 Zn 0.162 0.325 0.493
Zn89 Zn 0.035 0.369 0.583
Zn90 Zn 0.333 0.667 0.532
Zn91 Zn 0.004 0.300 0.250
Zn92 Zn 0.667 0.333 0.367
Zn93 Zn 0.838 0.675 0.993
Zn94 Zn 0.495 0.991 0.174
Zn95 Zn 0.296 0.300 0.250
Zn96 Zn 0.171 0.342 0.341
Zn97 Zn 0.505 0.495 0.674
Zn98 Zn 0.167 0.333 0.833
Zn99 Zn 0.996 0.700 0.750
Zn100 Zn 0.333 0.167 0.167
Zn101 Zn 0.965 0.631 0.417
Zn102 Zn 0.704 0.700 0.750
U1 U 0.000 0.000 0.581
U2 U 0.333 0.667 0.750
U3 U 0.667 0.333 0.750
U4 U 0.333 0.667 0.250
U5 U 0.667 0.333 0.585
U6 U 0.000 0.000 0.419
U7 U 0.000 0.000 0.919
U8 U 0.000 0.000 0.081
U9 U 0.333 0.667 0.085
U10 U 0.667 0.333 0.915
U11 U 0.333 0.667 0.415
U12 U 0.667 0.333 0.250
```

***

Record 12
## U2Zn17 (PBE)

Data for U2Zn17 after structural relaxation.

Properties
Space-group type = R-3m
Calculated volume = 16.014 A^3/atom
Formation enthalpy at 0 K = -20 meV/atom
Raw total energy = -2.336 eV/atom
Polymorph energy (0 for the lowest one) = 4.3 kJ per mole of atoms
Mass density = 8.7 g/cm³

Cell and atoms, written as CIF:
```
data_U2Zn17
_chemical_formula_sum 'U2 Zn17'
_space_group_name_H-M_alt 'P 1'
_space_group_IT_number 1
_cell_length_a 6.780
_cell_length_b 6.780
_cell_length_c 6.780
_cell_angle_alpha 82.48
_cell_angle_beta 82.48
_cell_angle_gamma 82.48
loop_
_space_group_symop_operation_xyz
'x,y,z'
loop_
_atom_site_label
_atom_site_type_symbol
_atom_site_fract_x
_atom_site_fract_y
_atom_site_fract_z
Zn1 Zn 0.354 0.354 0.840
Zn2 Zn 0.298 0.702 0.000
Zn3 Zn 0.000 0.000 0.500
Zn4 Zn 0.354 0.840 0.354
Zn5 Zn 0.160 0.646 0.646
Zn6 Zn 0.646 0.646 0.160
Zn7 Zn 0.840 0.354 0.354
Zn8 Zn 0.000 0.298 0.702
Zn9 Zn 0.898 0.898 0.898
Zn10 Zn 0.102 0.102 0.102
Zn11 Zn 0.500 0.000 0.000
Zn12 Zn 0.646 0.160 0.646
Zn13 Zn 0.000 0.500 0.000
Zn14 Zn 0.702 0.000 0.298
Zn15 Zn 0.298 0.000 0.702
Zn16 Zn 0.702 0.298 0.000
Zn17 Zn 0.000 0.702 0.298
U1 U 0.338 0.338 0.338
U2 U 0.662 0.662 0.662
```

***

What is the mass density in the fourth record?
9.3 g/cm³